Record 1
A plane-wave DFT calculation with PBE-GGA was carried out for LaGeI after structural relaxation.

Output
**Theoretical density**: 5.63 Mg/m³
**Space group**: P-3m1
**Energy**: -4.83 eV/atom

abc: 4.439 4.439 11.712
angles: 90.00 90.00 120.00
Sites, in units of the cell vectors:
La1 0.000 0.000 0.175
La2 0.000 0.000 0.825
Ge1 0.333 0.667 0.990
Ge2 0.667 0.333 0.010
I1 0.333 0.667 0.354
I2 0.667 0.333 0.646

Record 2
A plane-wave DFT calculation with PBE-GGA was carried out for Ge19P4I4 after structural relaxation.

Output
**Theoretical density**: 5.47 Mg/m³
**Space group**: P-43n
**Energy**: -4.37 eV/atom

abc: 10.689 10.689 10.689
angles: 90.00 90.00 90.00
Sites, in units of the cell vectors:
Ge1 0.000 0.250 0.500
Ge2 0.000 0.750 0.500
Ge3 0.002 0.119 0.694
Ge4 0.002 0.881 0.306
Ge5 0.119 0.306 0.998
Ge6 0.119 0.694 0.002
Ge7 0.186 0.186 0.186
Ge8 0.186 0.814 0.814
Ge9 0.194 0.381 0.498
Ge10 0.194 0.619 0.502
Ge11 0.250 0.500 0.000
Ge12 0.306 0.002 0.881
Ge13 0.306 0.998 0.119
Ge14 0.314 0.314 0.686
Ge15 0.314 0.686 0.314
Ge16 0.381 0.498 0.194
Ge17 0.381 0.502 0.806
Ge18 0.498 0.194 0.381
Ge19 0.498 0.806 0.619
Ge20 0.500 0.000 0.250
Ge21 0.500 0.000 0.750
Ge22 0.502 0.194 0.619
Ge23 0.502 0.806 0.381
Ge24 0.619 0.498 0.806
Ge25 0.619 0.502 0.194
Ge26 0.686 0.314 0.314
Ge27 0.686 0.686 0.686
Ge28 0.694 0.002 0.119
Ge29 0.694 0.998 0.881
Ge30 0.750 0.500 0.000
Ge31 0.806 0.381 0.502
Ge32 0.806 0.619 0.498
Ge33 0.814 0.186 0.814
Ge34 0.814 0.814 0.186
Ge35 0.881 0.306 0.002
Ge36 0.881 0.694 0.998
Ge37 0.998 0.119 0.306
Ge38 0.998 0.881 0.694
P1 0.184 0.184 0.816
P2 0.184 0.816 0.184
P3 0.316 0.316 0.316
P4 0.316 0.684 0.684
P5 0.684 0.316 0.684
P6 0.684 0.684 0.316
P7 0.816 0.184 0.184
P8 0.816 0.816 0.816
I1 0.000 0.000 0.000
I2 0.000 0.500 0.250
I3 0.000 0.500 0.750
I4 0.250 0.000 0.500
I5 0.500 0.250 0.000
I6 0.500 0.500 0.500
I7 0.500 0.750 0.000
I8 0.750 0.000 0.500

Record 3
A plane-wave DFT calculation with PBE-GGA was carried out for Ge2S3I2 after structural relaxation.

Output
**Theoretical density**: 2.95 Mg/m³
**Space group**: P-3
**Energy**: -3.85 eV/atom

abc: 11.336 11.336 10.012
angles: 90.00 90.00 120.00
Sites, in units of the cell vectors:
Ge1 0.188 0.718 0.230
Ge2 0.282 0.470 0.230
Ge3 0.333 0.667 0.947
Ge4 0.470 0.188 0.770
Ge5 0.530 0.812 0.230
Ge6 0.667 0.333 0.053
Ge7 0.718 0.530 0.770
Ge8 0.812 0.282 0.770
S1 0.121 0.510 0.314
S2 0.176 0.722 0.007
S3 0.278 0.454 0.007
S4 0.389 0.879 0.314
S5 0.454 0.176 0.993
S6 0.490 0.611 0.314
S7 0.510 0.389 0.686
S8 0.546 0.824 0.007
S9 0.611 0.121 0.686
S10 0.722 0.546 0.993
S11 0.824 0.278 0.993
S12 0.879 0.490 0.686
I1 0.017 0.782 0.312
I2 0.218 0.234 0.312
I3 0.234 0.017 0.688
I4 0.333 0.667 0.695
I5 0.667 0.333 0.305
I6 0.766 0.983 0.312
I7 0.782 0.766 0.688
I8 0.983 0.218 0.688

Record 4
A plane-wave DFT calculation with PBE-GGA was carried out for Ge19Sb4I4 after structural relaxation.

Output
**Theoretical density**: 5.76 Mg/m³
**Space group**: P-43n
**Energy**: -4.14 eV/atom

abc: 11.103 11.103 11.103
angles: 90.00 90.00 90.00
Sites, in units of the cell vectors:
Ge1 0.000 0.250 0.500
Ge2 0.000 0.750 0.500
Ge3 0.010 0.115 0.685
Ge4 0.010 0.885 0.315
Ge5 0.115 0.315 0.990
Ge6 0.115 0.685 0.010
Ge7 0.177 0.177 0.823
Ge8 0.177 0.823 0.177
Ge9 0.185 0.385 0.490
Ge10 0.185 0.615 0.510
Ge11 0.250 0.500 0.000
Ge12 0.315 0.010 0.885
Ge13 0.315 0.990 0.115
Ge14 0.323 0.323 0.323
Ge15 0.323 0.677 0.677
Ge16 0.385 0.490 0.185
Ge17 0.385 0.510 0.815
Ge18 0.490 0.185 0.385
Ge19 0.490 0.815 0.615
Ge20 0.500 0.000 0.250
Ge21 0.500 0.000 0.750
Ge22 0.510 0.185 0.615
Ge23 0.510 0.815 0.385
Ge24 0.615 0.490 0.815
Ge25 0.615 0.510 0.185
Ge26 0.677 0.323 0.677
Ge27 0.677 0.677 0.323
Ge28 0.685 0.010 0.115
Ge29 0.685 0.990 0.885
Ge30 0.750 0.500 0.000
Ge31 0.815 0.385 0.510
Ge32 0.815 0.615 0.490
Ge33 0.823 0.177 0.177
Ge34 0.823 0.823 0.823
Ge35 0.885 0.315 0.010
Ge36 0.885 0.685 0.990
Ge37 0.990 0.115 0.315
Ge38 0.990 0.885 0.685
Sb1 0.185 0.185 0.185
Sb2 0.185 0.815 0.815
Sb3 0.315 0.315 0.685
Sb4 0.315 0.685 0.315
Sb5 0.685 0.315 0.315
Sb6 0.685 0.685 0.685
Sb7 0.815 0.185 0.815
Sb8 0.815 0.815 0.185
I1 0.000 0.000 0.000
I2 0.000 0.500 0.250
I3 0.000 0.500 0.750
I4 0.250 0.000 0.500
I5 0.500 0.250 0.000
I6 0.500 0.500 0.500
I7 0.500 0.750 0.000
I8 0.750 0.000 0.500

Record 5
A plane-wave DFT calculation with PBE-GGA was carried out for Tl4GeI6 after structural relaxation.

Output
**Theoretical density**: 6.18 Mg/m³
**Space group**: P4/mnc
**Energy**: -2.68 eV/atom

abc: 9.282 9.282 10.309
angles: 90.00 90.00 90.00
Sites, in units of the cell vectors:
Tl1 0.152 0.348 0.250
Tl2 0.152 0.348 0.750
Tl3 0.348 0.848 0.250
Tl4 0.348 0.848 0.750
Tl5 0.652 0.152 0.250
Tl6 0.652 0.152 0.750
Tl7 0.848 0.652 0.250
Tl8 0.848 0.652 0.750
Ge1 0.000 0.000 0.000
Ge2 0.500 0.500 0.500
I1 0.000 0.000 0.290
I2 0.000 0.000 0.710
I3 0.136 0.699 0.000
I4 0.199 0.636 0.500
I5 0.301 0.136 0.000
I6 0.364 0.199 0.500
I7 0.500 0.500 0.210
I8 0.500 0.500 0.790
I9 0.636 0.801 0.500
I10 0.699 0.864 0.000
I11 0.801 0.364 0.500
I12 0.864 0.301 0.000

Record 6
A plane-wave DFT calculation with PBE-GGA was carried out for UGeI6 after structural relaxation.

Output
**Theoretical density**: 5.30 Mg/m³
**Space group**: P-31c
**Energy**: -3.73 eV/atom

abc: 7.513 7.513 13.755
angles: 90.00 90.00 120.00
Sites, in units of the cell vectors:
U1 0.000 0.000 0.000
U2 0.000 0.000 0.500
Ge1 0.333 0.667 0.250
Ge2 0.667 0.333 0.750
I1 0.003 0.331 0.874
I2 0.003 0.672 0.626
I3 0.328 0.331 0.626
I4 0.328 0.997 0.874
I5 0.331 0.003 0.374
I6 0.331 0.328 0.126
I7 0.669 0.672 0.874
I8 0.669 0.997 0.626
I9 0.672 0.003 0.126
I10 0.672 0.669 0.374
I11 0.997 0.328 0.374
I12 0.997 0.669 0.126

Record 7
A plane-wave DFT calculation with PBE-GGA was carried out for Zr6GeI14 after structural relaxation.

Output
**Theoretical density**: 5.02 Mg/m³
**Space group**: Cmce
**Energy**: -4.65 eV/atom

abc: 10.965 10.965 13.257
angles: 90.00 90.00 84.06
Sites, in units of the cell vectors:
Zr1 0.047 0.182 0.884
Zr2 0.145 0.855 0.894
Zr3 0.182 0.047 0.116
Zr4 0.318 0.453 0.616
Zr5 0.355 0.645 0.394
Zr6 0.453 0.318 0.384
Zr7 0.547 0.682 0.616
Zr8 0.645 0.355 0.606
Zr9 0.682 0.547 0.384
Zr10 0.818 0.953 0.884
Zr11 0.855 0.145 0.106
Zr12 0.953 0.818 0.116
Ge1 0.000 0.000 0.000
Ge2 0.500 0.500 0.500
I1 0.036 0.216 0.248
I2 0.098 0.402 0.750
I3 0.117 0.634 0.009
I4 0.134 0.617 0.509
I5 0.153 0.847 0.265
I6 0.216 0.036 0.752
I7 0.249 0.249 0.500
I8 0.251 0.251 0.000
I9 0.284 0.464 0.252
I10 0.347 0.653 0.765
I11 0.366 0.883 0.009
I12 0.383 0.866 0.509
I13 0.402 0.098 0.250
I14 0.464 0.284 0.748
I15 0.536 0.716 0.252
I16 0.598 0.902 0.750
I17 0.617 0.134 0.491
I18 0.634 0.117 0.991
I19 0.653 0.347 0.235
I20 0.716 0.536 0.748
I21 0.749 0.749 0.000
I22 0.751 0.751 0.500
I23 0.784 0.964 0.248
I24 0.847 0.153 0.735
I25 0.866 0.383 0.491
I26 0.883 0.366 0.991
I27 0.902 0.598 0.250
I28 0.964 0.784 0.752

Record 8
A plane-wave DFT calculation with PBE-GGA was carried out for In3Ge after structural relaxation.

Output
**Theoretical density**: 6.79 Mg/m³
**Space group**: Fm-3m
**Energy**: -3.09 eV/atom

abc: 5.245 5.245 5.245
angles: 60.00 60.00 60.00
Sites, in units of the cell vectors:
In1 0.000 0.000 0.000
In2 0.250 0.250 0.250
In3 0.750 0.750 0.750
Ge1 0.500 0.500 0.500

Number 1: energy relative to the elements -1.2638 eV per atom. Number 2: energy relative to the elements -0.1436 eV per atom. Number 3: energy relative to the elements -0.6463 eV per atom. Number 4: energy relative to the elements -0.1031 eV per atom. Number 5: energy relative to the elements -0.7788 eV per atom. Number 6: energy relative to the elements -0.8857 eV per atom. Number 7: energy relative to the elements -1.2199 eV per atom. Number 8: energy relative to the elements 0.1297 eV per atom.